(1)
Here is a relaxed structure of CsMg14FeO16 from the Materials Project database. Energies are from GGA+U.

Summary:
DFT total energy: -5.66 eV per atom
calculated volume: 10.7 Å³ per atom
total magnetic moment: 4.30 μB per cell

a = 8.8549 Å, b = 8.8549 Å, c = 4.3692 Å
α = 90.00°, β = 90.00°, γ = 90.00°
Element x y z (fractional)
Cs 0.5000 0.5000 0.0000
Mg 0.0000 0.2484 0.5000
Mg 0.0000 0.7516 0.5000
Mg 0.7516 0.0000 0.5000
Mg 0.2324 0.5000 0.5000
Mg 0.2456 0.7544 0.0000
Mg 0.5000 0.0000 0.0000
Mg 0.2456 0.2456 0.0000
Mg 0.7676 0.5000 0.5000
Mg 0.5000 0.7676 0.5000
Mg 0.5000 0.2324 0.5000
Mg 0.7544 0.2456 0.0000
Mg 0.7544 0.7544 0.0000
Mg 0.2484 0.0000 0.5000
Mg 0.0000 0.5000 0.0000
O 0.0000 0.0000 0.5000
O 0.2495 0.2495 0.5000
O 0.0000 0.7587 0.0000
O 0.7860 0.5000 0.0000
O 0.7587 0.0000 0.0000
O 0.0000 0.2413 0.0000
O 0.2413 0.0000 0.0000
O 0.7505 0.2495 0.5000
O 0.5000 0.0000 0.5000
O 0.2140 0.5000 0.0000
O 0.0000 0.5000 0.5000
O 0.5000 0.5000 0.5000
O 0.7505 0.7505 0.5000
O 0.5000 0.7860 0.0000
O 0.2495 0.7505 0.5000
O 0.5000 0.2140 0.0000
Fe 0.0000 0.0000 0.0000

***

(2)
Here is a relaxed structure of BaFe3Si4SO11 from the Materials Project database. Energies are from GGA+U.

Summary:
DFT total energy: -7.22 eV per atom
calculated volume: 12.5 Å³ per atom
total magnetic moment: 48.00 μB per cell

a = 5.3498 Å, b = 9.3065 Å, c = 20.0255 Å
α = 90.00°, β = 90.00°, γ = 90.00°
Element x y z (fractional)
O 0.9235 0.7451 0.1740
O 0.6605 0.3291 0.4413
O 0.6660 0.3286 0.0600
O 0.3340 0.6714 0.9400
O 0.3297 0.5000 0.8283
O 0.4235 0.2451 0.3260
O 0.5765 0.2451 0.6740
O 0.1605 0.1709 0.0587
O 0.9135 0.2459 0.3263
O 0.1660 0.1714 0.4400
O 0.9135 0.7541 0.3263
O 0.8395 0.8291 0.9413
O 0.0765 0.7451 0.8260
O 0.8340 0.8286 0.5600
O 0.6660 0.6714 0.0600
O 0.4135 0.7459 0.1737
O 0.6703 0.5000 0.1717
O 0.6605 0.6709 0.4413
O 0.1605 0.8291 0.0587
O 0.8158 0.5000 0.9433
O 0.4235 0.7549 0.3260
O 0.3395 0.6709 0.5587
O 0.8340 0.1714 0.5600
O 0.5865 0.7459 0.8263
O 0.1842 0.5000 0.0567
O 0.8297 0.0000 0.6717
O 0.1660 0.8286 0.4400
O 0.1703 0.0000 0.3283
O 0.9235 0.2549 0.1740
O 0.0865 0.2459 0.6737
O 0.5865 0.2541 0.8263
O 0.6682 0.5000 0.3263
O 0.3158 0.0000 0.5567
O 0.5765 0.7549 0.6740
O 0.8395 0.1709 0.9413
O 0.8318 0.0000 0.8263
O 0.4135 0.2541 0.1737
O 0.0765 0.2549 0.8260
O 0.3395 0.3291 0.5587
O 0.1682 0.0000 0.1737
O 0.0865 0.7541 0.6737
O 0.3340 0.3286 0.9400
O 0.3318 0.5000 0.6737
O 0.6842 0.0000 0.4433
Fe 0.5000 0.1657 0.0000
Fe 0.5000 0.5000 0.0000
Fe 0.0000 0.3505 0.0000
Fe 0.5000 0.5000 0.5000
Fe 0.5000 0.1495 0.5000
Fe 0.0000 0.3343 0.5000
Fe 0.0000 0.6657 0.5000
Fe 0.5000 0.8343 0.0000
Fe 0.0000 0.0000 0.5000
Fe 0.0000 0.0000 0.0000
Fe 0.0000 0.6495 0.0000
Fe 0.5000 0.8505 0.5000
Si 0.6682 0.3321 0.1391
Si 0.8322 0.8334 0.8617
Si 0.8322 0.1666 0.8617
Si 0.6678 0.6666 0.3617
Si 0.3318 0.3321 0.8609
Si 0.3318 0.6679 0.8609
Si 0.1678 0.8334 0.1383
Si 0.3322 0.3334 0.6383
Si 0.1682 0.8321 0.3609
Si 0.1678 0.1666 0.1383
Si 0.1682 0.1679 0.3609
Si 0.6678 0.3334 0.3617
Si 0.8318 0.1679 0.6391
Si 0.3322 0.6666 0.6383
Si 0.8318 0.8321 0.6391
Si 0.6682 0.6679 0.1391
S 0.3355 0.0000 0.9131
S 0.8355 0.5000 0.5869
S 0.1645 0.5000 0.4131
S 0.6645 0.0000 0.0869
Ba 0.8320 0.5000 0.7488
Ba 0.1680 0.5000 0.2512
Ba 0.3320 0.0000 0.7512
Ba 0.6680 0.0000 0.2488

***

(3)
Here is a relaxed structure of MgFe2Cu2O8 from the Materials Project database. Energies are from GGA+U.

Summary:
DFT total energy: -5.61 eV per atom
calculated volume: 12.2 Å³ per atom
total magnetic moment: 32.01 μB per cell

a = 6.4158 Å, b = 8.2889 Å, c = 11.9827 Å
α = 90.00°, β = 92.60°, γ = 90.00°
Element x y z (fractional)
O 0.6481 0.0138 0.6011
O 0.4927 0.1146 0.8563
O 0.8701 0.5214 0.3073
O 0.9038 0.8880 0.3818
O 0.4927 0.3854 0.3563
O 0.5883 0.7638 0.9224
O 0.3519 0.9862 0.3989
O 0.8093 0.0759 0.0185
O 0.3519 0.5138 0.8989
O 0.0271 0.2390 0.3962
O 0.9729 0.7390 0.1038
O 0.6481 0.4862 0.1011
O 0.1299 0.4786 0.6927
O 0.4117 0.2638 0.5776
O 0.5883 0.7362 0.4224
O 0.1907 0.5759 0.4815
O 0.6899 0.1274 0.2882
O 0.1299 0.0214 0.1927
O 0.4117 0.2362 0.0775
O 0.0271 0.2610 0.8962
O 0.0962 0.3880 0.1182
O 0.6899 0.3726 0.7882
O 0.8701 0.9786 0.8073
O 0.3101 0.6274 0.2118
O 0.3101 0.8726 0.7118
O 0.5073 0.6146 0.6437
O 0.9729 0.7610 0.6038
O 0.0962 0.1120 0.6182
O 0.9038 0.6120 0.8818
O 0.8093 0.4241 0.5185
O 0.1907 0.9241 0.9815
O 0.5073 0.8854 0.1437
Fe 0.6121 0.4068 0.6322
Fe 0.6121 0.0932 0.1322
Fe 0.0969 0.0403 0.3377
Fe 0.9031 0.9597 0.6623
Fe 0.3879 0.9068 0.8678
Fe 0.3879 0.5932 0.3678
Fe 0.0969 0.4597 0.8377
Fe 0.9031 0.5403 0.1623
Cu 0.3758 0.4413 0.1297
Cu 0.6242 0.9413 0.3703
Cu 0.7545 0.3090 0.3805
Cu 0.3758 0.0587 0.6297
Cu 0.7545 0.1910 0.8805
Cu 0.2455 0.6910 0.6195
Cu 0.2455 0.8090 0.1195
Cu 0.6242 0.5587 0.8703
Mg 0.8850 0.8422 0.9529
Mg 0.8850 0.6578 0.4529
Mg 0.1150 0.3422 0.5471
Mg 0.1150 0.1578 0.0471

***

(4)
Here is a relaxed structure of ZnNi3B4O10 from the Materials Project database. Energies are from GGA+U.

Summary:
DFT total energy: -6.65 eV per atom
calculated volume: 9.7 Å³ per atom
total magnetic moment: 6.00 μB per cell

a = 3.1469 Å, b = 6.2066 Å, c = 9.2476 Å
α = 104.27°, β = 90.61°, γ = 92.33°
Element x y z (fractional)
Ni 0.2385 0.3782 0.1023
Ni 0.7249 0.2066 0.3500
Ni 0.7629 0.6228 0.8971
O 0.5554 0.8582 0.2987
O 0.4459 0.1414 0.7021
O 0.7383 0.3074 0.9496
O 0.7839 0.9104 0.8258
O 0.7428 0.4769 0.2592
O 0.2201 0.0936 0.1813
O 0.2604 0.5227 0.7420
O 0.2602 0.6956 0.0521
O 0.2328 0.2766 0.4943
O 0.7663 0.7260 0.5045
B 0.3050 0.3172 0.6429
B 0.6971 0.6818 0.3558
B 0.6675 0.1203 0.8339
B 0.3316 0.8796 0.1680
Zn 0.2665 0.7847 0.6404

***

(5)
Here is a relaxed structure of Mn2V3SbP6O24 from the Materials Project database. Energies are from GGA+U.

Summary:
DFT total energy: -7.42 eV per atom
calculated volume: 13.0 Å³ per atom
total magnetic moment: 16.00 μB per cell

a = 8.7295 Å, b = 8.7295 Å, c = 8.7295 Å
α = 59.76°, β = 59.76°, γ = 59.76°
Element x y z (fractional)
P 0.7481 0.4614 0.0433
P 0.0433 0.7481 0.4614
P 0.5451 0.9565 0.2531
P 0.2531 0.5451 0.9565
P 0.4614 0.0433 0.7481
P 0.9565 0.2531 0.5451
O 0.1160 0.3085 0.5012
O 0.4139 0.5573 0.7638
O 0.0597 0.9185 0.2608
O 0.4358 0.2385 0.5914
O 0.3847 0.9886 0.1931
O 0.5914 0.4358 0.2385
O 0.9886 0.1931 0.3847
O 0.4888 0.8855 0.6976
O 0.3085 0.5012 0.1160
O 0.6122 0.0075 0.8109
O 0.0075 0.8109 0.6122
O 0.5012 0.1160 0.3085
O 0.2385 0.5914 0.4358
O 0.9407 0.0870 0.7340
O 0.0870 0.7340 0.9407
O 0.6976 0.4888 0.8855
O 0.7638 0.4139 0.5573
O 0.8109 0.6122 0.0075
O 0.2608 0.0597 0.9185
O 0.8855 0.6976 0.4888
O 0.1931 0.3847 0.9886
O 0.7340 0.9407 0.0870
O 0.9185 0.2608 0.0597
O 0.5573 0.7638 0.4139
V 0.8557 0.8557 0.8557
V 0.6442 0.6442 0.6442
V 0.3573 0.3573 0.3573
Mn 0.9945 0.9945 0.9945
Mn 0.5006 0.5006 0.5006
Sb 0.1442 0.1442 0.1442

***

(6)
Here is a relaxed structure of LiV4O5F7 from the Materials Project database. Energies are from GGA+U.

Summary:
relative energy among the computed polymorphs: 5.3 meV per atom
DFT total energy: -6.50 eV per atom
calculated volume: 12.3 Å³ per atom
total magnetic moment: 8.00 μB per cell

a = 5.3788 Å, b = 9.0982 Å, c = 9.1287 Å
α = 69.83°, β = 88.01°, γ = 87.65°
Element x y z (fractional)
O 0.7025 0.8726 0.6804
O 0.7813 0.6287 0.3346
O 0.2806 0.1286 0.3347
O 0.4992 0.8410 0.4155
O 0.5002 0.6763 0.0695
O 0.0001 0.1756 0.0690
O 0.9987 0.3411 0.4154
O 0.3077 0.0676 0.8750
O 0.8064 0.5681 0.8749
O 0.2009 0.3724 0.6807
V 0.9599 0.7493 0.7489
V 0.5202 0.5204 0.0011
V 0.5290 0.7401 0.2557
V 0.0290 0.2402 0.2549
V 0.4976 0.9829 0.4952
V 0.9977 0.4833 0.4943
V 0.0228 0.0192 0.0013
V 0.4583 0.2501 0.7488
F 0.0010 0.6665 0.5784
F 0.7102 0.4174 0.6383
F 0.7103 0.3727 0.1710
F 0.6992 0.9230 0.1122
F 0.2081 0.9179 0.6361
F 0.7926 0.0820 0.3746
F 0.5017 0.3274 0.9245
F 0.2936 0.5814 0.3750
F 0.5010 0.1670 0.5789
F 0.2019 0.4228 0.1139
F 0.2966 0.6277 0.8253
F 0.2098 0.8720 0.1719
F 0.7975 0.1275 0.8252
F 0.9930 0.8283 0.9251
Li 0.5122 0.8857 0.8801
Li 0.9740 0.3779 0.8699

***

(7)
Here is a relaxed structure of SrEuHfFeO6 from the Materials Project database. Energies are from GGA+U.

Summary:
DFT total energy: -8.40 eV per atom
calculated volume: 13.0 Å³ per atom
total magnetic moment: 11.00 μB per cell

a = 5.6826 Å, b = 5.6826 Å, c = 5.6826 Å
α = 60.00°, β = 60.00°, γ = 60.00°
Element x y z (fractional)
O 0.7542 0.7542 0.2458
O 0.2458 0.7542 0.7542
O 0.7542 0.2458 0.2458
O 0.2458 0.7542 0.2458
O 0.2458 0.2458 0.7542
O 0.7542 0.2458 0.7542
Fe 0.0000 0.0000 0.0000
Sr 0.7500 0.7500 0.7500
Hf 0.5000 0.5000 0.5000
Eu 0.2500 0.2500 0.2500

***

(8)
Here is a relaxed structure of MgV2O3F3 from the Materials Project database. Energies are from GGA+U.

Summary:
relative energy among the computed polymorphs: 0.0 meV per atom
DFT total energy: -6.62 eV per atom
calculated volume: 12.2 Å³ per atom
total magnetic moment: 3.00 μB per cell

a = 5.2819 Å, b = 5.5134 Å, c = 5.1164 Å
α = 84.66°, β = 118.50°, γ = 64.42°
Element x y z (fractional)
F 0.0532 0.8041 0.7387
F 0.5168 0.7632 0.3784
F 0.4810 0.2535 0.5826
V 0.9989 0.0217 0.0157
V 0.9915 0.4712 0.4714
O 0.1427 0.2565 0.8706
O 0.8929 0.7730 0.1862
O 0.8447 0.2720 0.2278
Mg 0.6033 0.0973 0.2909

***

(9)
Here is a relaxed structure of LiFe4B4O12 from the Materials Project database. Energies are from GGA+U.

Summary:
relative energy among the computed polymorphs: 0.0 meV per atom
DFT total energy: -7.22 eV per atom
calculated volume: 11.6 Å³ per atom
total magnetic moment: 19.00 μB per cell

a = 5.2304 Å, b = 5.2721 Å, c = 10.0971 Å
α = 88.99°, β = 89.12°, γ = 60.79°
Element x y z (fractional)
O 0.5756 0.0330 0.1753
O 0.3511 0.7417 0.1296
O 0.2323 0.7043 0.6343
O 0.2715 0.1207 0.4334
O 0.0894 0.2569 0.0814
O 0.0088 0.4030 0.6752
O 0.7326 0.8757 0.5753
O 0.8809 0.7273 0.9213
O 0.4017 0.0184 0.8300
O 0.9845 0.5921 0.3330
O 0.7881 0.2704 0.3515
O 0.6979 0.2352 0.8848
Fe 0.0064 0.6849 0.1231
Fe 0.6795 0.9793 0.3769
Fe 0.3258 0.0039 0.6310
Fe 0.0009 0.3282 0.8800
B 0.3379 0.0050 0.1282
B 0.9992 0.6599 0.6288
B 0.6638 0.9965 0.8775
B 0.0105 0.3287 0.3743
Li 0.6664 0.3562 0.1572

***

(10)
Here is a relaxed structure of V2P2PbO10 from the Materials Project database. Energies are from GGA+U.

Summary:
DFT total energy: -7.31 eV per atom
calculated volume: 13.2 Å³ per atom
total magnetic moment: 8.00 μB per cell

a = 8.7872 Å, b = 5.2834 Å, c = 17.0559 Å
α = 88.94°, β = 90.00°, γ = 90.00°
Element x y z (fractional)
O 0.5615 0.2133 0.1852
O 0.9385 0.2133 0.6852
O 0.4589 0.6212 0.6374
O 0.2592 0.3689 0.2016
O 0.0615 0.7867 0.3148
O 0.4910 0.6796 0.2480
O 0.8161 0.4020 0.0127
O 0.1702 0.8089 0.6134
O 0.3981 0.3369 0.0480
O 0.1405 0.3540 0.3986
O 0.6839 0.4020 0.5127
O 0.2408 0.3689 0.7016
O 0.1811 0.1115 0.9792
O 0.0411 0.6212 0.1374
O 0.9439 0.8635 0.8752
O 0.8189 0.8885 0.0208
O 0.6405 0.6460 0.1014
O 0.4439 0.1365 0.6248
O 0.8981 0.6631 0.4520
O 0.1019 0.3369 0.5480
O 0.8595 0.6460 0.6014
O 0.5411 0.3788 0.3626
O 0.5561 0.8635 0.3752
O 0.4385 0.7867 0.8148
O 0.3161 0.5980 0.4873
O 0.3595 0.3540 0.8986
O 0.9910 0.3204 0.2520
O 0.0090 0.6796 0.7480
O 0.6019 0.6631 0.9520
O 0.7592 0.6311 0.2984
O 0.9589 0.3788 0.8626
O 0.6702 0.1911 0.8866
O 0.6811 0.8885 0.5208
O 0.8298 0.1911 0.3866
O 0.3298 0.8089 0.1134
O 0.1839 0.5980 0.9873
O 0.0561 0.1365 0.1248
O 0.7408 0.6311 0.7984
O 0.5090 0.3204 0.7520
O 0.3189 0.1115 0.4792
V 0.6654 0.1455 0.4314
V 0.8346 0.1455 0.9314
V 0.9631 0.5372 0.3487
V 0.0369 0.4628 0.6513
V 0.5369 0.5372 0.8487
V 0.4631 0.4628 0.1513
V 0.3346 0.8545 0.5686
V 0.1654 0.8545 0.0686
Pb 0.2030 0.0483 0.8203
Pb 0.7970 0.9517 0.1797
Pb 0.2970 0.0483 0.3203
Pb 0.7030 0.9517 0.6797
P 0.7178 0.6425 0.0184
P 0.0886 0.3672 0.1776
P 0.2822 0.3575 0.9816
P 0.7822 0.6425 0.5184
P 0.4114 0.3672 0.6776
P 0.5886 0.6328 0.3224
P 0.9114 0.6328 0.8224
P 0.2178 0.3575 0.4816